Entry 1:
Material: ZnSiO3
Method: DFT, PBE-GGA
State: relaxed

Properties
The formation energy is -204.0 kJ per mole of atoms. The value obtained for the total energy is -6.01 eV/atom. The total magnetic moment is 0.00 μB per formula unit.

a = 3.542 Å, b = 3.542 Å, c = 3.542 Å
α = 90.00°, β = 90.00°, γ = 90.00°
Space group Pm-3m (No. 221)
Asymmetric unit:
Zn  0.000  0.000  0.000 [1 per cell]
Si  0.500  0.500  0.500 [1 per cell]
O  0.000  0.500  0.500 [3 per cell]

***

Entry 2:
Material: ZnSiO3
Method: DFT, PBE-GGA
State: relaxed

Properties
The formation energy is -255.2 kJ per mole of atoms. The value obtained for the total energy is -6.54 eV/atom. The total magnetic moment is 0.00 μB per formula unit.

a = 10.027 Å, b = 9.443 Å, c = 5.373 Å
α = 90.00°, β = 112.64°, γ = 90.00°
Space group C2/c (No. 15)
Asymmetric unit:
Zn  0.000  0.116  0.250 [4 per cell]
Zn  0.000  0.231  0.750 [4 per cell]
Si  0.199  0.416  0.233 [8 per cell]
O  0.120  0.264  0.126 [8 per cell]
O  0.123  0.089  0.641 [8 per cell]
O  0.148  0.476  0.470 [8 per cell]

***

Entry 3:
Material: ZnSiO3
Method: DFT, PBE-GGA
State: relaxed

Properties
The formation energy is -256.3 kJ per mole of atoms. The value obtained for the total energy is -6.55 eV/atom. The total magnetic moment is 0.00 μB per formula unit.

a = 9.478 Å, b = 10.383 Å, c = 5.524 Å
α = 90.00°, β = 90.00°, γ = 90.00°
Space group Ibam (No. 72)
Asymmetric unit:
Zn  0.000  0.209  0.250 [8 per cell]
Si  0.220  0.419  0.000 [8 per cell]
O  0.114  0.122  0.500 [8 per cell]
O  0.114  0.295  0.000 [8 per cell]
O  0.187  0.500  0.250 [8 per cell]

***

Entry 4:
Material: Zn2SiO4
Method: DFT, PBE-GGA
State: relaxed

Properties
The formation energy is -231.1 kJ per mole of atoms. The value obtained for the total energy is -5.97 eV/atom. The total magnetic moment is 0.00 μB per formula unit.

a = 6.188 Å, b = 11.036 Å, c = 9.840 Å
α = 90.00°, β = 90.00°, γ = 90.00°
Space group Pbca (No. 61)
Asymmetric unit:
Zn  0.059  0.160  0.184 [8 per cell]
Zn  0.154  0.563  0.919 [8 per cell]
Si  0.137  0.624  0.620 [8 per cell]
O  0.074  0.134  0.981 [8 per cell]
O  0.098  0.513  0.730 [8 per cell]
O  0.149  0.099  0.524 [8 per cell]
O  0.166  0.748  0.714 [8 per cell]

***

Entry 5:
Material: ZnSiO3
Method: DFT, PBE-GGA
State: relaxed

Properties
The formation energy is -254.7 kJ per mole of atoms. The value obtained for the total energy is -6.53 eV/atom. The total magnetic moment is 0.00 μB per formula unit.

a = 5.336 Å, b = 18.493 Å, c = 9.301 Å
α = 90.00°, β = 90.00°, γ = 90.00°
Space group Pbca (No. 61)
Asymmetric unit:
Zn  0.097  0.125  0.144 [8 per cell]
Zn  0.100  0.124  0.490 [8 per cell]
Si  0.087  0.726  0.664 [8 per cell]
Si  0.218  0.027  0.834 [8 per cell]
O  0.070  0.551  0.711 [8 per cell]
O  0.085  0.685  0.165 [8 per cell]
O  0.108  0.689  0.505 [8 per cell]
O  0.160  0.197  0.748 [8 per cell]
O  0.204  0.567  0.983 [8 per cell]
O  0.218  0.562  0.339 [8 per cell]

***

Entry 6:
Material: Zr2SiO2
Method: DFT, PBE-GGA
State: relaxed

Properties
The formation energy is -40.9 kJ per mole of atoms. The value obtained for the total energy is -6.63 eV/atom. The total magnetic moment is 0.00 μB per formula unit.

a = 3.144 Å, b = 3.144 Å, c = 11.774 Å
α = 90.00°, β = 90.00°, γ = 90.00°
Space group P4/mmm (No. 123)
Asymmetric unit:
Zr  0.000  0.000  0.240 [2 per cell]
Si  0.000  0.000  0.000 [1 per cell]
O  0.000  0.000  0.389 [2 per cell]

***

Entry 7:
Material: ZrSiO2
Method: DFT, PBE-GGA
State: relaxed

Properties
The formation energy is -174.6 kJ per mole of atoms. The value obtained for the total energy is -7.43 eV/atom. The total magnetic moment is 0.00 μB per formula unit.

a = 6.301 Å, b = 6.301 Å, c = 11.099 Å
α = 90.00°, β = 90.00°, γ = 90.00°
Space group I4_1/amd (No. 141, origin choice 2)
Asymmetric unit:
Zr  0.000  0.000  0.000 [8 per cell]
Si  0.000  0.000  0.500 [8 per cell]
O  0.000  0.011  0.800 [16 per cell]

***

Entry 8:
Material: ZrSiO3
Method: DFT, PBE-GGA
State: relaxed

Properties
The formation energy is -214.2 kJ per mole of atoms. The value obtained for the total energy is -7.57 eV/atom. The total magnetic moment is 1.47 μB per formula unit.

a = 3.663 Å, b = 3.663 Å, c = 3.663 Å
α = 90.00°, β = 90.00°, γ = 90.00°
Space group Pm-3m (No. 221)
Asymmetric unit:
Zr  0.000  0.000  0.000 [1 per cell]
Si  0.500  0.500  0.500 [1 per cell]
O  0.000  0.500  0.500 [3 per cell]

***

Entry 9:
Material: SmO2
Method: DFT, PBE-GGA
State: relaxed

Properties
The formation energy is -295.5 kJ per mole of atoms. The value obtained for the total energy is -7.48 eV/atom. The total magnetic moment is 1.00 μB per formula unit.

a = 4.263 Å, b = 3.789 Å, c = 6.316 Å
α = 90.00°, β = 104.37°, γ = 90.00°
Space group P2_1/m (No. 11)
Asymmetric unit:
Sm  0.180  0.250  0.310 [2 per cell]
O  0.174  0.750  0.050 [2 per cell]
O  0.261  0.750  0.539 [2 per cell]

***

Entry 10:
Material: Sm32O21
Method: DFT, PBE-GGA
State: relaxed

Properties
The formation energy is -226.9 kJ per mole of atoms. The value obtained for the total energy is -6.89 eV/atom. The total magnetic moment is 4.62 μB per formula unit.

a = 15.4770 Å, b = 15.4770 Å, c = 18.8503 Å
α = 90.00°, β = 90.00°, γ = 120.00°
Space group R3m (No. 160, hexagonal axes)
Asymmetric unit:
Sm  0.0000  0.0000  0.0000 [3 per cell]
Sm  0.0000  0.0000  0.5001 [3 per cell]
Sm  0.9996  0.4998  0.0069 [9 per cell]
Sm  0.0059  0.2567  0.5098 [18 per cell]
Sm  0.0852  0.1704  0.6694 [9 per cell]
Sm  0.0884  0.1768  0.1734 [9 per cell]
Sm  0.0902  0.4156  0.6779 [18 per cell]
Sm  0.1549  0.0775  0.3364 [9 per cell]
Sm  0.1657  0.0828  0.8415 [9 per cell]
Sm  0.1714  0.3428  0.8371 [9 per cell]
O  0.0017  0.2527  0.6345 [18 per cell]
O  0.0021  0.2563  0.1348 [18 per cell]
O  0.0862  0.1724  0.2954 [9 per cell]
O  0.1704  0.0852  0.9622 [9 per cell]
O  0.1703  0.3407  0.4667 [9 per cell]

***

Entry 11:
Material: SmTi4SnO12
Method: DFT, PBE-GGA
State: relaxed

Properties
The formation energy is -296.6 kJ per mole of atoms. The value obtained for the total energy is -8.15 eV/atom. The total magnetic moment is 1.00 μB per formula unit.

a = 7.789 Å, b = 7.580 Å, c = 7.567 Å
α = 90.00°, β = 90.00°, γ = 90.00°
Space group Amm2 (No. 38)
Asymmetric unit:
Sm  0.000  0.000  0.000 [2 per cell]
Ti  0.247  0.250  0.228 [8 per cell]
Sn  0.500  0.000  0.456 [2 per cell]
O  0.000  0.201  0.727 [4 per cell]
O  0.206  0.000  0.256 [4 per cell]
O  0.236  0.198  0.974 [8 per cell]
O  0.319  0.000  0.650 [4 per cell]
O  0.500  0.195  0.274 [4 per cell]

***

Entry 12:
Material: SrSmTi4O12
Method: DFT, PBE-GGA
State: relaxed

Properties
The formation energy is -303.9 kJ per mole of atoms. The value obtained for the total energy is -8.10 eV/atom. The total magnetic moment is 3.00 μB per formula unit.

a = 5.498 Å, b = 5.498 Å, c = 7.775 Å
α = 90.00°, β = 90.00°, γ = 90.00°
Space group P4/mmm (No. 123)
Asymmetric unit:
Sr  0.000  0.000  0.000 [1 per cell]
Sm  0.500  0.500  0.500 [1 per cell]
Ti  0.000  0.500  0.249 [4 per cell]
O  0.000  0.500  0.000 [2 per cell]
O  0.000  0.500  0.500 [2 per cell]
O  0.256  0.256  0.261 [8 per cell]

***

Entry 13:
Material: SrSmZrTiO6
Method: DFT, PBE-GGA
State: relaxed

Properties
The formation energy is -334.1 kJ per mole of atoms. The value obtained for the total energy is -8.30 eV/atom. The total magnetic moment is 0.00 μB per formula unit.

a = 8.105 Å, b = 8.105 Å, c = 8.105 Å
α = 90.00°, β = 90.00°, γ = 90.00°
Space group F-43m (No. 216)
Asymmetric unit:
Sr  0.000  0.000  0.000 [4 per cell]
Sm  0.000  0.000  0.500 [4 per cell]
Zr  0.250  0.250  0.750 [4 per cell]
Ti  0.250  0.250  0.250 [4 per cell]
O  0.007  0.250  0.250 [24 per cell]

***

Entry 14:
Material: Sr2SmUO6
Method: DFT, PBE-GGA
State: relaxed

Properties
The formation energy is -337.7 kJ per mole of atoms. The value obtained for the total energy is -8.00 eV/atom. The total magnetic moment is 1.00 μB per formula unit.

a = 8.810 Å, b = 8.810 Å, c = 8.810 Å
α = 90.00°, β = 90.00°, γ = 90.00°
Space group Fm-3m (No. 225)
Asymmetric unit:
Sr  0.250  0.250  0.250 [8 per cell]
Sm  0.000  0.000  0.000 [4 per cell]
U  0.000  0.000  0.500 [4 per cell]
O  0.000  0.000  0.258 [24 per cell]